KRb2WO3F3 | PBE with a Hubbard U | relaxed

a b c (Å): 9.0437 9.1367 9.2425
angles (deg): 90.00 90.00 90.00
Space group Fmm2 (No. 42)
Asymmetric unit:
K (0.0000, 0.0000, 0.0000) (multiplicity 4)
Rb (0.2500, 0.2500, 0.2437) (multiplicity 8)
W (0.0000, 0.0000, 0.4855) (multiplicity 4)
O (0.0000, 0.0000, 0.2892) (multiplicity 4)
O (0.2032, 0.0000, 0.5189) (multiplicity 8)
F (0.0000, 0.0000, 0.7208) (multiplicity 4)
F (0.0000, 0.2199, 0.5010) (multiplicity 8)

KRb2VF6 | PBE with a Hubbard U | relaxed

a b c (Å): 9.0597 9.0597 9.0597
angles (deg): 90.00 90.00 90.00
Space group Fm-3m (No. 225)
Asymmetric unit:
K (0.0000, 0.0000, 0.0000) (multiplicity 4)
Rb (0.2500, 0.2500, 0.2500) (multiplicity 8)
V (0.0000, 0.0000, 0.5000) (multiplicity 4)
F (0.0000, 0.0000, 0.2814) (multiplicity 24)

K2TlVF6 | PBE with a Hubbard U | relaxed

a b c (Å): 9.1717 9.1717 9.1717
angles (deg): 90.00 90.00 90.00
Space group Fm-3m (No. 225)
Asymmetric unit:
K (0.2500, 0.2500, 0.2500) (multiplicity 8)
Tl (0.0000, 0.0000, 0.0000) (multiplicity 4)
V (0.0000, 0.0000, 0.5000) (multiplicity 4)
F (0.0000, 0.0000, 0.2865) (multiplicity 24)

K5V3F14 | PBE with a Hubbard U | relaxed

a b c (Å): 7.7849 7.7849 11.9309
angles (deg): 90.00 90.00 90.00
Space group P4/mnc (No. 128)
Asymmetric unit:
K (0.0000, 0.0000, 0.0000) (multiplicity 2)
K (0.2173, 0.2827, 0.2500) (multiplicity 8)
V (0.0000, 0.0000, 0.5000) (multiplicity 2)
V (0.0000, 0.5000, 0.0000) (multiplicity 4)
F (0.0000, 0.0000, 0.3357) (multiplicity 4)
F (0.0415, 0.6746, 0.1142) (multiplicity 16)
F (0.0731, 0.2470, 0.5000) (multiplicity 8)

KVF4 | PBE with a Hubbard U | relaxed

a b c (Å): 12.6178 7.7483 7.9053
angles (deg): 90.00 90.00 90.00
Space group Pnma (No. 62)
Asymmetric unit:
K (0.0157, 0.2500, 0.1242) (multiplicity 4)
K (0.0279, 0.2500, 0.6252) (multiplicity 4)
V (0.2485, 0.5005, 0.3746) (multiplicity 8)
F (0.0982, 0.0429, 0.3670) (multiplicity 8)
F (0.1013, 0.0451, 0.8827) (multiplicity 8)
F (0.2163, 0.7500, 0.4218) (multiplicity 4)
F (0.2198, 0.7500, 0.8277) (multiplicity 4)
F (0.2484, 0.0496, 0.6245) (multiplicity 8)

K3WF6 | PBE with a Hubbard U | relaxed

a b c (Å): 9.2343 9.2343 9.2343
angles (deg): 90.00 90.00 90.00
Space group Fm-3m (No. 225)
Asymmetric unit:
K (0.0000, 0.0000, 0.0000) (multiplicity 4)
K (0.2500, 0.2500, 0.2500) (multiplicity 8)
W (0.0000, 0.0000, 0.5000) (multiplicity 4)
F (0.0000, 0.0000, 0.2714) (multiplicity 24)

| no. | calculated volume (A^3/atom) | energy relative to the elements (eV per atom) | corrected total energy (MP2020 scheme) (eV per formula unit) |
| --- | --- | --- | --- |
| 1 | 19.09 | -2.60 | -62.579 |
| 2 | 18.59 | -3.15 | -55.182 |
| 3 | 19.29 | -2.81 | -53.286 |
| 4 | 16.43 | -3.17 | -129.291 |
| 5 | 16.10 | -3.23 | -37.218 |
| 6 | 19.69 | -2.85 | -56.287 |